1.
# SiH3CNO

SiH3CNO after structural relaxation (PBE, the Materials Project). Values from VASP.

Geometry as Quantum ESPRESSO input:
```
&SYSTEM
  ibrav = 0, nat = 28, ntyp = 5
/
ATOMIC_SPECIES
Si 28.09 Si.upf
H 1.01 H.upf
C 12.01 C.upf
N 14.01 N.upf
O 16.00 O.upf
CELL_PARAMETERS angstrom
8.7857 0.0000 0.0000
0.0000 8.0593 0.0000
0.0000 0.0000 7.8507
ATOMIC_POSITIONS angstrom
Si 2.1540 2.0148 1.2442
Si 2.2388 6.0445 5.1695
Si 6.5469 2.0148 2.6811
Si 6.6317 6.0445 6.6065
H 1.3647 0.7828 0.9899
H 1.3647 3.2469 0.9899
H 1.7788 6.0445 6.5801
H 2.6141 2.0148 2.6548
H 3.0282 4.8125 4.9153
H 3.0282 7.2765 4.9153
H 5.7575 0.7828 2.9354
H 5.7575 3.2469 2.9354
H 6.1716 6.0445 5.1959
H 7.0069 2.0148 1.2706
H 7.4210 4.8125 6.8607
H 7.4210 7.2765 6.8607
C 0.1232 6.0445 3.1889
C 4.2696 2.0148 7.1143
C 4.5161 6.0445 0.7364
C 8.6624 2.0148 4.6617
N 0.8432 6.0445 4.1530
N 3.5497 2.0148 0.2277
N 5.2360 6.0445 7.6230
N 7.9425 2.0148 3.6977
O 0.6308 2.0148 5.5785
O 3.7620 6.0445 1.6532
O 5.0237 2.0148 6.1975
O 8.1548 6.0445 2.2721
```

Values from the calculation:
E_tot in eV per atom: -5.7587
Energy relative to the elements in eV/f.u.: -2.9

=====

2.
# SiH14C6N2O4

SiH14C6N2O4 after structural relaxation (PBE, the Materials Project). Values from VASP.

Geometry as Quantum ESPRESSO input:
```
&SYSTEM
  ibrav = 0, nat = 108, ntyp = 5
/
ATOMIC_SPECIES
Si 28.09 Si.upf
H 1.01 H.upf
C 12.01 C.upf
N 14.01 N.upf
O 16.00 O.upf
CELL_PARAMETERS angstrom
6.9325 0.0000 0.0000
0.0000 8.2489 0.0000
0.0000 0.0000 20.6684
ATOMIC_POSITIONS angstrom
Si 1.4573 1.5464 6.6549
Si 2.0090 6.7025 16.9891
Si 4.9235 2.5781 14.0135
Si 5.4753 5.6708 3.6793
H 0.1896 4.7392 5.2830
H 0.2525 2.2004 15.0137
H 0.6672 6.3609 4.7531
H 0.8010 7.2460 14.8946
H 0.9504 4.9706 3.6834
H 1.0089 1.0935 10.7969
H 1.0144 5.4900 15.0533
H 1.2338 8.0167 8.4113
H 1.3976 7.9773 11.8262
H 1.4858 5.3231 19.0497
H 1.5187 0.8956 17.2667
H 1.5252 2.8237 0.2772
H 1.5254 4.4020 1.0275
H 1.5504 4.3069 17.6000
H 1.9158 3.9420 7.2658
H 1.9408 3.8469 11.3617
H 1.9411 5.4252 10.6114
H 1.9475 7.3533 6.9325
H 1.9805 2.9258 8.7155
H 2.0687 0.2716 1.4920
H 2.2325 0.2322 18.7455
H 2.4518 2.7589 4.7191
H 2.4573 7.1554 0.4627
H 2.5158 3.2783 14.0176
H 2.6653 1.0029 4.5604
H 2.7991 1.8880 15.0873
H 3.2138 6.0485 4.6795
H 3.2767 3.5097 15.6172
H 3.6558 7.6341 15.3853
H 3.7188 1.9241 5.6547
H 4.1335 6.0125 15.9153
H 4.2673 5.1273 5.7738
H 4.4167 7.4028 16.9850
H 4.4752 3.0309 9.8715
H 4.4807 6.8833 5.6151
H 4.7001 4.3566 12.2571
H 4.8638 4.3960 8.8422
H 4.9520 7.0502 1.6186
H 4.9850 3.2289 3.4017
H 4.9914 1.3008 20.3912
H 4.9917 7.9714 19.6409
H 5.0167 8.0665 3.0684
H 5.3821 0.1824 13.4026
H 5.4071 0.2775 9.3067
H 5.4074 6.9481 10.0570
H 5.4138 5.0200 13.7359
H 5.4468 1.1987 11.9528
H 5.5350 3.8529 19.1764
H 5.6987 3.8923 1.9229
H 5.9181 1.3656 15.9493
H 5.9236 5.2180 20.2057
H 5.9821 0.8461 6.6508
H 6.1315 3.1216 16.1080
H 6.2653 2.2364 5.5811
H 6.6800 6.3248 15.9889
H 6.7430 0.6148 5.0511
C 0.2508 5.4032 4.4102
C 0.3001 5.0495 11.7740
C 0.6528 7.0161 1.4051
C 0.7733 6.4085 15.6067
C 1.4328 3.1005 7.7788
C 1.5124 0.0246 17.9418
C 1.9538 8.2243 7.6076
C 2.0335 5.1484 18.1130
C 2.6929 1.8404 5.2725
C 2.8135 1.2328 11.7393
C 3.1662 3.1994 1.4398
C 3.2155 2.8457 14.7444
C 3.7171 6.9701 16.2582
C 3.7663 7.3238 8.8944
C 4.1191 5.3572 19.2633
C 4.2396 5.9648 5.0617
C 4.8990 1.0240 12.8896
C 4.9787 4.0999 2.7266
C 5.4201 4.1490 13.0607
C 5.4998 7.2249 2.5554
C 6.1592 2.2841 15.3959
C 6.2797 2.8917 8.9291
C 6.6325 0.9251 19.2286
C 6.6817 1.2788 5.9240
N 1.5233 4.7758 11.2765
N 1.6266 0.6554 11.4803
N 1.8397 7.5934 1.1461
N 1.9430 3.4731 0.9423
N 4.9895 7.5976 9.3919
N 5.0928 3.4690 9.1881
N 5.3060 4.7799 19.5223
N 5.4093 0.6513 19.7260
O 0.1049 3.6282 8.0856
O 0.1827 8.1099 18.5047
O 0.2870 5.9145 0.9429
O 0.3125 1.9924 19.3713
O 3.1537 6.2565 9.0371
O 3.1792 2.3344 11.2771
O 3.2836 0.1390 8.1705
O 3.3614 4.6206 18.4197
O 3.5712 0.4962 12.5828
O 3.6490 4.2634 2.1636
O 3.7533 6.4589 19.7255
O 3.7788 2.1320 1.2971
O 6.6200 6.1169 11.6313
O 6.6455 1.7900 9.3913
O 6.7498 3.9855 12.4978
O 6.8276 7.7527 2.2486
```

Values from the calculation:
E_tot in eV per atom: -5.8058
Energy relative to the elements in eV/f.u.: -14.7

=====

3.
# Si5H15C4NO12

Si5H15C4NO12 after structural relaxation (PBE, the Materials Project). Values from VASP.

Geometry as Quantum ESPRESSO input:
```
&SYSTEM
  ibrav = 0, nat = 74, ntyp = 5
/
ATOMIC_SPECIES
Si 28.09 Si.upf
H 1.01 H.upf
C 12.01 C.upf
N 14.01 N.upf
O 16.00 O.upf
CELL_PARAMETERS angstrom
8.9529 0.0000 0.0000
0.0000 9.4395 0.0000
-0.9572 0.0000 8.9531
ATOMIC_POSITIONS angstrom
Si 0.1004 0.0000 1.7901
Si 2.3404 4.7111 0.1910
Si 2.2791 7.1879 2.2295
Si 2.3118 2.2112 2.2283
Si 3.3890 4.7061 6.5966
Si 4.6067 9.4259 2.3565
Si 5.6838 6.9310 6.7248
Si 5.7166 2.4681 6.7236
Si 5.6553 9.4309 8.7620
Si 7.8952 4.7198 7.1630
H -0.2475 5.2601 2.4032
H -0.1633 8.1760 7.2874
H 0.1697 1.0995 5.1079
H 0.3963 1.9280 6.6732
H 0.7815 4.7310 5.6681
H 0.7659 7.5114 5.9081
H 1.4978 7.5792 7.5417
H 1.6953 1.5185 8.0783
H 2.1460 0.7779 4.6976
H 2.2103 3.4734 4.2785
H 2.2430 5.8035 4.2641
H 2.1971 8.4228 4.8607
H 1.9914 9.2821 8.6039
H 3.1601 0.6749 7.5449
H 3.3739 0.0044 5.7252
H 4.6217 4.7241 3.2279
H 4.8355 5.3947 1.4081
H 6.0043 4.5624 0.3491
H 5.7986 3.7031 4.0923
H 5.7527 1.0837 4.6889
H 5.7854 8.1931 4.6745
H 5.8497 5.4977 4.2554
H 6.3004 6.2383 0.8747
H 6.4979 2.8595 1.4113
H 7.2297 2.7916 3.0450
H 7.2142 0.0112 3.2850
H 7.5994 6.6477 2.2798
H 7.8260 5.8193 3.8452
H 8.1590 3.4562 1.6657
H 8.2432 0.5404 6.5498
C 0.2265 0.9650 6.1888
C 0.8286 8.0825 6.8395
C 2.3443 9.3803 5.3712
C 2.1032 0.5512 7.7822
C 5.8925 5.2710 1.1708
C 5.6514 4.6605 3.5818
C 7.1670 3.3627 2.1135
C 7.7692 5.6848 2.7643
N 1.3769 0.0283 6.5479
N 6.6188 4.7481 2.4052
O -0.2162 4.8102 5.7867
O -0.1165 4.6993 8.5071
O 1.0066 8.0844 1.7284
O 1.1004 1.2816 1.6480
O 1.8712 2.7160 3.6957
O 1.8954 6.5588 3.6581
O 2.5358 3.4312 1.1689
O 2.5579 6.0705 1.0587
O 2.4400 4.6813 5.3009
O 2.5048 4.6503 7.9844
O 3.6128 8.1226 2.2984
O 3.6978 1.3516 2.2478
O 4.2979 6.0713 6.7053
O 4.3829 3.4028 6.6547
O 5.4909 9.3700 0.9686
O 5.5557 9.4011 3.6521
O 5.4378 1.3507 7.8944
O 5.4599 8.1510 7.7841
O 6.1003 1.8390 5.2949
O 6.1245 7.4358 5.2573
O 6.8952 6.0014 7.3050
O 6.9891 3.3646 7.2247
O 8.1122 9.4190 0.4460
O 8.2119 0.0904 3.1664
```

Values from the calculation:
E_tot in eV per atom: -6.2649
Energy relative to the elements in eV/f.u.: -57.4

=====

4.
# SmH9C5N2O8

SmH9C5N2O8 after structural relaxation (PBE, the Materials Project). Values from VASP.

Geometry as Quantum ESPRESSO input:
```
&SYSTEM
  ibrav = 0, nat = 50, ntyp = 5
/
ATOMIC_SPECIES
Sm 150.36 Sm.upf
H 1.01 H.upf
C 12.01 C.upf
N 14.01 N.upf
O 16.00 O.upf
CELL_PARAMETERS angstrom
3.4335 -9.3566 0.0000
3.4335 9.3566 0.0000
0.0000 0.0000 8.7585
ATOMIC_POSITIONS angstrom
Sm 3.4335 6.6933 6.5688
Sm 3.4335 -6.6933 2.1896
H 2.0219 3.9774 4.8359
H 1.8533 1.7378 7.8420
H 1.5652 0.0000 4.3792
H 3.4335 3.4255 2.1896
H 2.4025 0.1515 7.2603
H 3.4335 2.8818 6.5688
H 2.4025 -0.1515 1.4981
H 1.8533 -1.7378 0.9164
H 4.8451 3.9774 8.3018
H 2.0219 -3.9774 3.9226
H 5.0137 1.7378 5.2956
H 4.4645 0.1515 5.8774
H 3.4335 -2.8818 2.1896
H 4.4645 -0.1515 2.8811
H 3.4335 -3.4255 6.5688
H 5.3018 0.0000 0.0000
H 5.0137 -1.7378 3.4628
H 4.8451 -3.9774 0.4567
C 1.8168 4.8185 4.1380
C 0.4577 0.0000 4.3792
C 3.4335 2.3144 2.1896
C 3.4335 1.7826 6.5688
C 5.0502 4.8185 0.2412
C 1.8168 -4.8185 4.6205
C 3.4335 -1.7826 2.1896
C 3.4335 -2.3144 6.5688
C 6.4093 0.0000 0.0000
C 5.0502 -4.8185 8.5172
N 2.5125 1.1755 7.2880
N 2.5125 -1.1755 1.4704
N 4.3545 1.1755 5.8497
N 4.3545 -1.1755 2.9088
O 2.2016 5.9725 4.4868
O 3.2884 8.4421 5.0100
O 2.2247 4.8025 7.4334
O 3.5786 8.4421 8.1277
O 2.3176 1.7214 2.3162
O 4.6654 5.9725 8.6509
O 4.6423 4.8025 5.7043
O 2.3176 -1.7214 6.4423
O 4.5494 1.7214 2.0630
O 2.2247 -4.8025 1.3251
O 2.2016 -5.9725 4.2716
O 4.5494 -1.7214 6.6954
O 3.2884 -8.4421 3.7484
O 4.6423 -4.8025 3.0542
O 3.5786 -8.4421 0.6308
O 4.6654 -5.9725 0.1076
```

Values from the calculation:
E_tot in eV per atom: -6.5182
Energy relative to the elements in eV/f.u.: -30.8